No. 1
# GGA-PBE Mn20W3C6, relaxed
# Crystal system: cubic
# VASP energy (eV/atom): -9.6323
# Size of the total moment (μB per formula unit): 16.480
# Formation enthalpy at 0 K (eV per formula unit): -1.85
data_Mn20W3C6
_symmetry_space_group_name_H-M 'F m -3 m'
_symmetry_Int_Tables_number 225
_symmetry_space_group_name_Hall '-F 4 2 3'
_cell_length_a 10.531
_cell_length_b 10.531
_cell_length_c 10.531
_cell_angle_alpha 90.00
_cell_angle_beta 90.00
_cell_angle_gamma 90.00
loop_
_atom_site_label
_atom_site_fract_x
_atom_site_fract_y
_atom_site_fract_z
_atom_site_occupancy
Mn1 0.000 0.171 0.171 1
Mn2 0.116 0.116 0.384 1
W1 0.000 0.000 0.000 1
W2 0.250 0.250 0.250 1
C1 0.000 0.000 0.274 1

---

No. 2
# GGA-PBE Mn3W10C4, relaxed
# Crystal system: hexagonal
# VASP energy (eV/atom): -11.1694
# Size of the total moment (μB per formula unit): 3.600
# Formation enthalpy at 0 K (eV per formula unit): 4.10
data_Mn3W10C4
_symmetry_space_group_name_H-M 'P 63/m m c'
_symmetry_Int_Tables_number 194
_symmetry_space_group_name_Hall '-P 6c 2c'
_cell_length_a 8.0053
_cell_length_b 8.0053
_cell_length_c 8.0278
_cell_angle_alpha 90.00
_cell_angle_beta 90.00
_cell_angle_gamma 120.00
loop_
_atom_site_label
_atom_site_fract_x
_atom_site_fract_y
_atom_site_fract_z
_atom_site_occupancy
Mn1 0.0663 0.5331 0.2500 1
W1 0.0000 0.0000 0.0000 1
W2 0.1177 0.2354 0.2500 1
W3 0.2090 0.4180 0.5587 1
C1 0.0000 0.5000 0.0000 1
C2 0.3333 0.6667 0.2500 1

---

No. 3
# GGA-PBE Y2MnC4, relaxed
# Crystal system: orthorhombic
# VASP energy (eV/atom): -8.6858
# Size of the total moment (μB per formula unit): 0.943
# Formation enthalpy at 0 K (eV per formula unit): -1.79
data_Y2MnC4
_symmetry_space_group_name_H-M 'I b a m'
_symmetry_Int_Tables_number 72
_symmetry_space_group_name_Hall '-I 2 2c'
_cell_length_a 7.583
_cell_length_b 9.616
_cell_length_c 5.059
_cell_angle_alpha 90.00
_cell_angle_beta 90.00
_cell_angle_gamma 90.00
loop_
_atom_site_label
_atom_site_fract_x
_atom_site_fract_y
_atom_site_fract_z
_atom_site_occupancy
Y1 0.155 0.146 0.000 1
Mn1 0.000 0.500 0.250 1
C1 0.159 0.129 0.500 1
C2 0.171 0.422 0.000 1

---

No. 4
# GGA-PBE Y12Mn5C15, relaxed
# Crystal system: hexagonal
# VASP energy (eV/atom): -8.5316
# Formation enthalpy at 0 K (eV per formula unit): -11.17
data_Y12Mn5C15
_symmetry_space_group_name_H-M 'P -6 2 m'
_symmetry_Int_Tables_number 189
_symmetry_space_group_name_Hall 'P -6 -2'
_cell_length_a 10.5039
_cell_length_b 10.5039
_cell_length_c 5.0621
_cell_angle_alpha 90.00
_cell_angle_beta 90.00
_cell_angle_gamma 120.00
loop_
_atom_site_label
_atom_site_fract_x
_atom_site_fract_y
_atom_site_fract_z
_atom_site_occupancy
Y1 0.0000 0.4278 0.0000 1
Y2 0.0000 0.7929 0.0000 1
Y3 0.1852 0.7301 0.5000 1
Mn1 0.0000 0.1528 0.5000 1
Mn2 0.3333 0.6667 0.0000 1
C1 0.0000 0.3238 0.5000 1
C2 0.0000 0.4525 0.5000 1
C3 0.0000 0.8001 0.5000 1
C4 0.1927 0.7150 0.0000 1

---

No. 5
# GGA-PBE Y2Mn17C3, relaxed
# Crystal system: hexagonal
# VASP energy (eV/atom): -9.0156
# Size of the total moment (μB per formula unit): 7.085
# Formation enthalpy at 0 K (eV per formula unit): -1.97
data_Y2Mn17C3
_symmetry_space_group_name_H-M 'P 63/m m c'
_symmetry_Int_Tables_number 194
_symmetry_space_group_name_Hall '-P 6c 2c'
_cell_length_a 8.5373
_cell_length_b 8.5373
_cell_length_c 8.2726
_cell_angle_alpha 90.00
_cell_angle_beta 90.00
_cell_angle_gamma 120.00
loop_
_atom_site_label
_atom_site_fract_x
_atom_site_fract_y
_atom_site_fract_z
_atom_site_occupancy
Y1 0.0000 0.0000 0.2500 1
Y2 0.3333 0.6667 0.2500 1
Mn1 0.0000 0.5000 0.0000 1
Mn2 0.0588 0.3872 0.7500 1
Mn3 0.1714 0.3428 0.0230 1
Mn4 0.3333 0.6667 0.6096 1
C1 0.1644 0.3288 0.2500 1

---

No. 6
# GGA-PBE MoC6N9, relaxed
# Crystal system: orthorhombic
# VASP energy (eV/atom): -8.4276
# Size of the total moment (μB per formula unit): 2.701
# Formation enthalpy at 0 K (eV per formula unit): 3.16
# E (MP2020) (eV per cell): -552.36
data_MoC6N9
_symmetry_space_group_name_H-M 'C m c m'
_symmetry_Int_Tables_number 63
_symmetry_space_group_name_Hall '-C 2c 2'
_cell_length_a 7.203
_cell_length_b 13.586
_cell_length_c 11.256
_cell_angle_alpha 90.00
_cell_angle_beta 90.00
_cell_angle_gamma 90.00
loop_
_atom_site_label
_atom_site_fract_x
_atom_site_fract_y
_atom_site_fract_z
_atom_site_occupancy
Mo1 0.000 0.227 0.250 1
C1 0.157 0.117 0.750 1
C2 0.158 0.350 0.589 1
N1 0.000 0.071 0.750 1
N2 0.000 0.370 0.541 1
N3 0.194 0.167 0.129 1
N4 0.197 0.343 0.250 1

---

No. 7
# GGA-PBE Mo2CN, relaxed
# Crystal system: orthorhombic
# VASP energy (eV/atom): -10.0785
# Formation enthalpy at 0 K (eV per formula unit): -1.42
# E (MP2020) (eV per cell): -40.68
data_Mo2CN
_symmetry_space_group_name_H-M 'P m m 2'
_symmetry_Int_Tables_number 25
_cell_length_a 2.829
_cell_length_b 2.910
_cell_length_c 5.035
_cell_angle_alpha 90.00
_cell_angle_beta 90.00
_cell_angle_gamma 90.00
loop_
_symmetry_equiv_pos_as_xyz
'x,y,z'
'-x,-y,z'
'-x,y,z'
'x,-y,z'
loop_
_atom_site_label
_atom_site_fract_x
_atom_site_fract_y
_atom_site_fract_z
_atom_site_occupancy
Mo1 0.000 0.000 0.000 1
Mo2 0.000 0.500 0.499 1
C1 0.500 0.000 0.331 1
N1 0.500 0.500 0.833 1

---

No. 8
# GGA-PBE Na2MoC3SeN3, relaxed
# Crystal system: tetragonal
# VASP energy (eV/atom): -7.2613
# Size of the total moment (μB per formula unit): 0.000
# Formation enthalpy at 0 K (eV per formula unit): -4.01
# E (MP2020) (eV per cell): -1179.14
data_Na2MoC3SeN3
_symmetry_space_group_name_H-M 'I 41/a m d'
_symmetry_Int_Tables_number 141
_cell_length_a 15.439
_cell_length_b 15.439
_cell_length_c 11.113
_cell_angle_alpha 90.00
_cell_angle_beta 90.00
_cell_angle_gamma 90.00
loop_
_symmetry_equiv_pos_as_xyz
'x,y,z'
'-x,-y,-z'
'-y+1/4,x+3/4,z+1/4'
'y+1/4,-x+3/4,-z+1/4'
'-x+1/2,-y,z+1/2'
'x+1/2,y,-z+1/2'
'y+1/4,-x+1/4,z+3/4'
'-y+1/4,x+1/4,-z+3/4'
'x,-y,-z'
'-x,y,z'
'-y+1/4,-x+1/4,-z+3/4'
'y+1/4,x+1/4,z+3/4'
'-x+1/2,y,-z+1/2'
'x+1/2,-y,z+1/2'
'y+1/4,x+3/4,-z+1/4'
'-y+1/4,-x+3/4,z+1/4'
'x+1/2,y+1/2,z+1/2'
'-x+1/2,-y+1/2,-z+1/2'
'-y+3/4,x+1/4,z+3/4'
'y+3/4,-x+1/4,-z+3/4'
'-x,-y+1/2,z'
'x,y+1/2,-z'
'y+3/4,-x+3/4,z+1/4'
'-y+3/4,x+3/4,-z+1/4'
'x+1/2,-y+1/2,-z+1/2'
'-x+1/2,y+1/2,z+1/2'
'-y+3/4,-x+3/4,-z+1/4'
'y+3/4,x+3/4,z+1/4'
'-x,y+1/2,-z'
'x,-y+1/2,z'
'y+3/4,x+1/4,-z+3/4'
'-y+3/4,-x+1/4,z+3/4'
loop_
_atom_site_label
_atom_site_fract_x
_atom_site_fract_y
_atom_site_fract_z
_atom_site_occupancy
Na1 0.000 0.116 0.267 1
Na2 0.141 0.000 0.500 1
Mo1 0.000 0.155 0.780 1
C1 0.000 0.142 0.588 1
C2 0.088 0.049 0.758 1
Se1 0.000 0.118 0.000 1
N1 0.000 0.130 0.483 1
N2 0.129 0.014 0.266 1

---

No. 9
# GGA-PBE Ni4Mo6CN, relaxed
# Crystal system: orthorhombic
# VASP energy (eV/atom): -8.9793
# Size of the total moment (μB per formula unit): 0.001
# Formation enthalpy at 0 K (eV per formula unit): -2.35
# E (MP2020) (eV per cell): -432.45
data_Ni4Mo6CN
_symmetry_space_group_name_H-M 'C 2 2 21'
_symmetry_Int_Tables_number 20
_cell_length_a 9.441
_cell_length_b 9.469
_cell_length_c 6.682
_cell_angle_alpha 90.00
_cell_angle_beta 90.00
_cell_angle_gamma 90.00
loop_
_symmetry_equiv_pos_as_xyz
'x,y,z'
'-x,-y,z+1/2'
'x,-y,-z'
'-x,y,-z+1/2'
'x+1/2,y+1/2,z'
'-x+1/2,-y+1/2,z+1/2'
'x+1/2,-y+1/2,-z'
'-x+1/2,y+1/2,-z+1/2'
loop_
_atom_site_label
_atom_site_fract_x
_atom_site_fract_y
_atom_site_fract_z
_atom_site_occupancy
Ni1 0.125 0.193 0.193 1
Ni2 0.193 0.375 0.943 1
Mo1 0.000 0.452 0.250 1
Mo2 0.050 0.000 0.500 1
Mo3 0.088 0.288 0.576 1
Mo4 0.212 0.087 0.826 1
C1 0.000 0.126 0.750 1
N1 0.124 0.500 0.500 1

---

No. 10
# GGA-PBE Mo3C8S13N2, relaxed
# Crystal system: triclinic
# VASP energy (eV/atom): -6.0428
# Size of the total moment (μB per formula unit): 3.527
# Polymorph energy (0 for the lowest one) (kJ per mole of atoms): 9.4
# Formation enthalpy at 0 K (eV per formula unit): 12.44
# E (MP2020) (eV per cell): -164.37
data_Mo3C8S13N2
_symmetry_space_group_name_H-M 'P 1'
_symmetry_Int_Tables_number 1
_cell_length_a 5.883
_cell_length_b 10.833
_cell_length_c 10.844
_cell_angle_alpha 119.86
_cell_angle_beta 90.12
_cell_angle_gamma 90.18
loop_
_symmetry_equiv_pos_as_xyz
'x,y,z'
loop_
_atom_site_label
_atom_site_fract_x
_atom_site_fract_y
_atom_site_fract_z
_atom_site_occupancy
Mo1 0.000 0.000 0.000 1
Mo2 0.000 0.146 0.855 1
Mo3 0.002 0.291 0.145 1
C1 0.530 0.902 0.330 1
C2 0.532 0.475 0.757 1
C3 0.564 0.387 0.570 1
C4 0.568 0.814 0.428 1
C5 0.571 0.575 0.670 1
C6 0.573 0.716 0.240 1
C7 0.743 0.476 0.678 1
C8 0.743 0.827 0.334 1
S1 0.085 0.774 0.000 1
S2 0.086 0.146 0.629 1
S3 0.090 0.516 0.370 1
S4 0.277 0.965 0.820 1
S5 0.278 0.145 0.181 1
S6 0.279 0.327 0.000 1
S7 0.697 0.145 0.000 1
S8 0.759 0.814 0.999 1
S9 0.760 0.145 0.670 1
S10 0.764 0.476 0.330 1
S11 0.969 0.879 0.734 1
S12 0.972 0.145 0.266 1
S13 0.972 0.412 0.000 1
N1 0.375 0.482 0.654 1
N2 0.377 0.795 0.331 1

---

No. 11
# GGA-PBE Mo3C8S13N2, relaxed
# Crystal system: triclinic
# VASP energy (eV/atom): -6.1404
# Size of the total moment (μB per formula unit): 2.005
# Polymorph energy (0 for the lowest one) (kJ per mole of atoms): 0.0
# Formation enthalpy at 0 K (eV per formula unit): 9.90
# E (MP2020) (eV per cell): -166.91
data_Mo3C8S13N2
_symmetry_space_group_name_H-M 'P 1'
_symmetry_Int_Tables_number 1
_cell_length_a 6.482
_cell_length_b 10.374
_cell_length_c 10.640
_cell_angle_alpha 62.40
_cell_angle_beta 84.68
_cell_angle_gamma 82.64
loop_
_symmetry_equiv_pos_as_xyz
'x,y,z'
loop_
_atom_site_label
_atom_site_fract_x
_atom_site_fract_y
_atom_site_fract_z
_atom_site_occupancy
Mo1 0.000 0.000 0.000 1
Mo2 0.004 0.135 0.710 1
Mo3 0.984 0.297 0.854 1
C1 0.242 0.455 0.220 1
C2 0.300 0.820 0.582 1
C3 0.332 0.972 0.526 1
C4 0.360 0.586 0.120 1
C5 0.406 0.783 0.466 1
C6 0.436 0.411 0.152 1
C7 0.439 0.464 0.284 1
C8 0.502 0.913 0.465 1
S1 0.016 0.406 0.588 1
S2 0.048 0.865 0.857 1
S3 0.184 0.483 0.856 1
S4 0.207 0.143 0.488 1
S5 0.218 0.804 0.181 1
S6 0.277 0.134 0.850 1
S7 0.727 0.165 0.036 1
S8 0.738 0.333 0.680 1
S9 0.758 0.964 0.860 1
S10 0.881 0.535 0.858 1
S11 0.899 0.120 0.499 1
S12 0.917 0.780 0.224 1
S13 0.999 0.160 0.118 1
N1 0.526 0.763 0.590 1
N2 0.575 0.512 0.156 1